[1]
FeOF, relaxed, DFT PBE with a Hubbard U; uncorrected energy = -6.003 eV/atom; energy of formation from the pure elements = -2027 meV/atom; magnetic moment = 20.00 Bohr magnetons per cell
1.0
-2.1105 -1.3269 -1.7963
-1.3380 -2.8079 3.6461
-6.4925 6.4360 2.8738
Fe F O
4 4 4
direct
0.0000 0.0000 0.0000
0.5000 0.5731 0.7520
0.0000 0.0000 0.5000
0.5000 0.4269 0.2480
0.0000 0.6765 0.1616
0.0000 0.3235 0.8384
0.5000 0.8015 0.4027
0.5000 0.1985 0.5973
0.5000 0.8179 0.9047
0.0000 0.7124 0.6450
0.0000 0.2876 0.3550
0.5000 0.1821 0.0953

---

[2]
FeB4O7, relaxed, DFT PBE with a Hubbard U; uncorrected energy = -7.824 eV/atom; energy of formation from the pure elements = -2594 meV/atom; magnetic moment = 0.00 Bohr magnetons per cell
1.0
-4.1813 0.3686 -4.8144
7.5569 2.2508 -2.4929
3.9399 -7.2703 -0.0803
O B Fe
28 16 4
direct
0.8095 0.7622 0.7857
0.8092 0.7470 0.4972
0.8094 0.5352 0.0123
0.4514 0.1065 0.0833
0.7562 0.9704 0.2204
0.1907 0.7378 0.7149
0.9088 0.8290 0.0794
0.8091 0.2469 0.9967
0.8093 0.2622 0.2851
0.5486 0.6668 0.1436
0.5485 0.1666 0.6432
0.4516 0.8334 0.3567
0.4514 0.3331 0.8564
0.1909 0.7530 0.0032
0.7562 0.4704 0.7204
0.2438 0.5296 0.2796
0.0908 0.6709 0.4211
0.1905 0.2378 0.2142
0.5486 0.8935 0.9168
0.4515 0.6067 0.5832
0.1905 0.4649 0.9877
0.5485 0.3933 0.4168
0.1907 0.9644 0.4879
0.9092 0.3292 0.5788
0.8094 0.0356 0.5122
0.0911 0.1711 0.9206
0.2439 0.0296 0.7796
0.1908 0.2529 0.5028
0.0829 0.7850 0.5352
0.7050 0.8974 0.3975
0.2948 0.3526 0.3524
0.3193 0.6662 0.4162
0.6807 0.3338 0.5837
0.7049 0.1471 0.1472
0.7051 0.6473 0.6476
0.2951 0.1025 0.6025
0.2952 0.8529 0.8528
0.6803 0.8338 0.0839
0.9174 0.7148 0.9651
0.9171 0.2150 0.4648
0.3196 0.1662 0.9161
0.2950 0.6027 0.1030
0.0827 0.2852 0.0349
0.7050 0.3974 0.8970
0.2235 0.4865 0.7363
0.2210 0.9855 0.2358
0.7764 0.5135 0.2638
0.7789 0.0145 0.7643

---

- Number 1 is which compound?
  FeOF